Here is a relaxed ZnB4O7 crystal from the Materials Project database. Energies are from PBE.

a = 6.3638 Å, b = 6.3638 Å, c = 5.2211 Å
α = 90.00°, β = 90.00°, γ = 118.07°
Closest atoms and distances in Å follow each position.
Sites, in units of the cell vectors:
Zn: 0.7661 0.7661 0.7500  5 O 2.05-2.07
Zn: 0.2339 0.2339 0.2500  5 O 2.05-2.07
B: 0.7024 0.2976 0.5000  4 O 1.45-1.56
B: 0.2976 0.7024 0.0000  4 O 1.45-1.56
B: 0.7024 0.2976 0.0000  4 O 1.45-1.56
B: 0.6896 0.9246 0.2500  4 O 1.44-1.57
B: 0.9246 0.6896 0.2500  4 O 1.44-1.57
B: 0.2976 0.7024 0.5000  4 O 1.45-1.56
B: 0.0754 0.3104 0.7500  4 O 1.44-1.57
B: 0.3104 0.0754 0.7500  4 O 1.44-1.57
O: 0.9203 0.9203 0.2500  2 B 1.48
O: 0.4458 0.1893 0.9769  2 B 1.44-1.45
O: 0.0797 0.0797 0.7500  2 B 1.48
O: 0.5542 0.8107 0.0231  2 B 1.44-1.45
O: 0.8107 0.5542 0.4769  2 B 1.44-1.45
O: 0.1955 0.7549 0.2500  3 B 1.56-1.57
O: 0.4458 0.1893 0.5231  2 B 1.44-1.45
O: 0.1893 0.4458 0.9769  2 B 1.44-1.45
O: 0.2451 0.8045 0.7500  3 B 1.56-1.57
O: 0.8107 0.5542 0.0231  2 B 1.44-1.45
O: 0.7549 0.1955 0.2500  3 B 1.56-1.57
O: 0.1893 0.4458 0.5231  2 B 1.44-1.45
O: 0.8045 0.2451 0.7500  3 B 1.56-1.57
O: 0.5542 0.8107 0.4769  2 B 1.44-1.45

Values from the calculation:
spin magnetization	0.000	μB per atom
DFT formation energy	-2.629	eV per atom
space group	Cmcm
ΔE to the lowest computed polymorph	58.4	meV per atom
MP2020-corrected energy	-94.16	eV per formula unit